First-principles (PBE) data for a geometry-optimized Mg6Si5 structure, as listed in Materials Project.

Properties
For the total magnetization, the calculation gives 0.0 μB per formula unit. The value obtained for the energy relative to the elements is 0.11 eV/atom. The calculation puts the energy above the most stable polymorph in this dataset at 0.88 eV per formula unit.

abc: 5.4108 6.7522 12.2720
angles: 100.42 92.77 96.40
Sites, in units of the cell vectors:
Mg (0.0000, 0.0000, 0.0000)
Mg (0.0065, 0.0822, 0.7462)
Mg (0.0728, 0.4630, 0.9716)
Mg (0.1577, 0.7147, 0.4713)
Mg (0.1928, 0.6597, 0.7706)
Mg (0.2262, 0.8237, 0.2024)
Mg (0.2727, 0.2120, 0.4056)
Mg (0.4948, 0.1843, 0.9053)
Mg (0.6164, 0.6009, 0.3148)
Mg (0.6500, 0.5903, 0.5618)
Mg (0.7261, 0.0154, 0.4983)
Mg (0.7543, 0.0828, 0.2648)
Si (0.0126, 0.3600, 0.6044)
Si (0.0828, 0.4489, 0.2603)
Si (0.3417, 0.2157, 0.1665)
Si (0.4110, 0.2639, 0.6400)
Si (0.4355, 0.7966, 0.9734)
Si (0.4587, 0.9226, 0.6717)
Si (0.6945, 0.7903, 0.8149)
Si (0.7137, 0.7153, 0.1100)
Si (0.7337, 0.3586, 0.1129)
Si (0.7458, 0.4325, 0.7670)